Record 1
As2O3: relaxed, meta-GGA r2SCAN.

Cell and atoms, written as CIF:
```
data_As2O3
_cell_length_a 8.032
_cell_length_b 4.605
_cell_length_c 11.029
_cell_angle_alpha 90.00
_cell_angle_beta 124.40
_cell_angle_gamma 90.00
_symmetry_space_group_name_H-M 'P 1 21/c 1'
_symmetry_Int_Tables_number 14
loop_
_symmetry_equiv_pos_as_xyz
'x,y,z'
'-x,-y,-z'
'-x,y+1/2,-z+1/2'
'x,-y+1/2,z+1/2'
loop_
_atom_site_label
_atom_site_type_symbol
_atom_site_fract_x
_atom_site_fract_y
_atom_site_fract_z
As1 As 0.059 0.180 0.371
As2 As 0.416 0.657 0.300
O1 O 0.072 0.680 0.816
O2 O 0.165 0.645 0.132
O3 O 0.465 0.033 0.288
```

Properties
M_tot	0.0000	μB per atom
ΔH_f (0 K)	-1.280	eV per atom
total DFT energy (no corrections)	-10.75	eV per atom

---

Record 2
TbGeIr: relaxed, meta-GGA r2SCAN.

Cell and atoms, written as CIF:
```
data_TbGeIr
_cell_length_a 6.903
_cell_length_b 4.308
_cell_length_c 7.568
_cell_angle_alpha 90.00
_cell_angle_beta 90.00
_cell_angle_gamma 90.00
_symmetry_space_group_name_H-M 'P n m a'
_symmetry_Int_Tables_number 62
loop_
_symmetry_equiv_pos_as_xyz
'x,y,z'
'-x,-y,-z'
'-x+1/2,-y,z+1/2'
'x+1/2,y,-z+1/2'
'x+1/2,-y+1/2,-z+1/2'
'-x+1/2,y+1/2,z+1/2'
'-x,y+1/2,-z'
'x,-y+1/2,z'
loop_
_atom_site_label
_atom_site_type_symbol
_atom_site_fract_x
_atom_site_fract_y
_atom_site_fract_z
Tb1 Tb 0.002 0.250 0.192
Ge1 Ge 0.206 0.750 0.391
Ir1 Ir 0.159 0.250 0.567
```

Properties
M_tot	0.0000	μB per atom
ΔH_f (0 K)	-1.042	eV per atom
total DFT energy (no corrections)	-33.53	eV per atom

---

Record 3
Gd2Mo3O12: relaxed, meta-GGA r2SCAN.

Cell and atoms, written as CIF:
```
data_Gd2Mo3O12
_cell_length_a 7.429
_cell_length_b 7.429
_cell_length_c 10.669
_cell_angle_alpha 90.00
_cell_angle_beta 90.00
_cell_angle_gamma 90.00
_symmetry_space_group_name_H-M 'P -4 21 m'
_symmetry_Int_Tables_number 113
loop_
_symmetry_equiv_pos_as_xyz
'x,y,z'
'y,-x,-z'
'-x,-y,z'
'-y,x,-z'
'x+1/2,-y+1/2,-z'
'y+1/2,x+1/2,z'
'-x+1/2,y+1/2,-z'
'-y+1/2,-x+1/2,z'
loop_
_atom_site_label
_atom_site_type_symbol
_atom_site_fract_x
_atom_site_fract_y
_atom_site_fract_z
Gd1 Gd 0.187 0.313 0.238
Mo1 Mo 0.000 0.000 0.500
Mo2 Mo 0.208 0.292 0.856
O1 O 0.002 0.775 0.796
O2 O 0.041 0.189 0.404
O3 O 0.127 0.627 0.190
O4 O 0.195 0.305 0.020
```

Properties
M_tot	0.8235	μB per atom
ΔH_f (0 K)	-2.721	eV per atom
total DFT energy (no corrections)	-16.64	eV per atom

---

- Which of these has the highest total DFT energy (no corrections)?
  As2O3